a.
Li9Mn7O16 | PBE with a Hubbard U | relaxed

Cell: 3.011 5.099 19.457 Å, 92.64 94.09 91.84°
Fractional positions:
Li1 0.500 0.500 0.500
Li2 0.996 0.633 0.379
Li3 0.503 0.744 0.250
Li4 0.000 0.875 0.125
Li5 0.500 0.000 0.000
Li6 0.000 0.125 0.875
Li7 0.497 0.256 0.750
Li8 0.004 0.367 0.621
Li9 0.000 0.000 0.500
Mn1 0.503 0.882 0.620
Mn2 0.497 0.118 0.380
Mn3 0.992 0.253 0.252
Mn4 0.500 0.375 0.126
Mn5 0.000 0.500 0.000
Mn6 0.500 0.625 0.874
Mn7 0.008 0.747 0.748
O1 0.976 0.714 0.571
O2 0.508 0.830 0.432
O3 0.975 0.969 0.318
O4 0.529 0.080 0.188
O5 0.033 0.205 0.062
O6 0.532 0.331 0.936
O7 0.031 0.452 0.811
O8 0.534 0.586 0.687
O9 0.024 0.286 0.429
O10 0.466 0.414 0.313
O11 0.969 0.548 0.189
O12 0.468 0.669 0.064
O13 0.967 0.795 0.938
O14 0.471 0.920 0.812
O15 0.025 0.031 0.682
O16 0.492 0.170 0.568

Symmetry: P-1, No. 2
Size of the total moment: 26.0 μB per cell
Crystal system: triclinic

=====

b.
Li9Mn7O16 | PBE with a Hubbard U | relaxed

Cell: 6.010 6.076 8.709 Å, 70.53 88.10 85.75°
Fractional positions:
Li1 0.500 0.500 0.500
Li2 0.754 0.381 0.254
Li3 0.500 0.000 0.500
Li4 0.756 0.864 0.260
Li5 0.002 0.749 0.003
Li6 0.998 0.251 0.997
Li7 0.244 0.136 0.740
Li8 0.246 0.619 0.746
Li9 0.000 0.500 0.500
Mn1 0.757 0.628 0.748
Mn2 0.000 0.000 0.500
Mn3 0.243 0.372 0.252
Mn4 0.498 0.250 0.997
Mn5 0.757 0.136 0.747
Mn6 0.243 0.864 0.253
Mn7 0.502 0.750 0.003
O1 0.777 0.773 0.513
O2 0.025 0.621 0.250
O3 0.759 0.230 0.511
O4 0.998 0.100 0.264
O5 0.258 0.975 0.015
O6 0.258 0.480 0.009
O7 0.503 0.361 0.755
O8 0.523 0.870 0.762
O9 0.223 0.227 0.487
O10 0.477 0.130 0.238
O11 0.241 0.770 0.489
O12 0.497 0.639 0.245
O13 0.742 0.520 0.991
O14 0.742 0.025 0.985
O15 0.002 0.900 0.736
O16 0.975 0.379 0.750

Symmetry: P-1, No. 2
Size of the total moment: 26.0 μB per cell
Crystal system: triclinic

=====

c.
Li9Mn7O16 | PBE with a Hubbard U | relaxed

Cell: 5.087 5.294 11.364 Å, 84.61 88.06 77.63°
Fractional positions:
Li1 0.267 0.079 0.937
Li2 0.738 0.184 0.820
Li3 0.254 0.323 0.687
Li4 0.262 0.816 0.180
Li5 0.733 0.921 0.063
Li6 0.250 0.565 0.438
Li7 0.746 0.677 0.313
Li8 0.750 0.435 0.562
Li9 0.500 0.500 0.000
Mn1 0.001 0.609 0.880
Mn2 0.999 0.391 0.120
Mn3 0.496 0.732 0.758
Mn4 0.995 0.870 0.628
Mn5 0.500 0.000 0.500
Mn6 0.005 0.130 0.372
Mn7 0.504 0.268 0.242
O1 0.105 0.685 0.031
O2 0.640 0.833 0.897
O3 0.118 0.917 0.788
O4 0.138 0.469 0.268
O5 0.653 0.590 0.152
O6 0.136 0.210 0.524
O7 0.641 0.335 0.394
O8 0.637 0.083 0.647
O9 0.347 0.410 0.848
O10 0.862 0.531 0.732
O11 0.359 0.665 0.606
O12 0.360 0.167 0.103
O13 0.895 0.315 0.969
O14 0.363 0.917 0.353
O15 0.882 0.083 0.212
O16 0.864 0.790 0.476

Symmetry: P-1, No. 2
Size of the total moment: 26.0 μB per cell
Crystal system: triclinic

=====

Of them, a has the lowest stability.

=====

a.
MgMn2Co2O8 | PBE with a Hubbard U | relaxed

Cell: 5.796 5.797 5.796 Å, 89.65 119.53 59.92°
Fractional positions:
Mg1 0.250 0.910 0.339
Mn1 0.495 0.536 0.959
Mn2 0.005 0.536 0.469
Co1 0.496 0.044 0.959
Co2 0.003 0.537 0.959
O1 0.529 0.775 0.754
O2 0.971 0.775 0.196
O3 0.974 0.327 0.199
O4 0.526 0.775 0.199
O5 0.471 0.304 0.725
O6 0.029 0.746 0.725
O7 0.033 0.304 0.729
O8 0.467 0.304 0.163

Symmetry: Imm2, No. 44
Size of the total moment: 0.0 μB per cell
Crystal system: orthorhombic

=====

b.
MgMn2Co2O8 | PBE with a Hubbard U | relaxed

Cell: 5.857 5.990 5.857 Å, 90.06 119.80 60.46°
Fractional positions:
Mg1 0.500 0.500 0.500
Mn1 0.500 0.500 0.000
Mn2 0.000 0.500 0.500
Co1 0.500 0.000 0.000
Co2 0.000 0.500 0.000
O1 0.545 0.706 0.790
O2 0.005 0.706 0.249
O3 0.967 0.303 0.230
O4 0.540 0.707 0.253
O5 0.460 0.293 0.747
O6 0.033 0.697 0.770
O7 0.995 0.294 0.751
O8 0.455 0.294 0.210

Symmetry: C2/m, No. 12
Size of the total moment: 10.0 μB per cell
Crystal system: monoclinic

=====

Of them, b has the lowest stability.

=====

a.
MgFe8O8F8 | PBE with a Hubbard U | relaxed

Cell: 9.848 9.711 3.074 Å, 89.88 90.13 87.40°
Fractional positions:
Mg1 0.989 0.759 0.010
Fe1 0.040 0.035 0.006
Fe2 0.997 0.475 0.995
Fe3 0.242 0.261 0.501
Fe4 0.240 0.743 0.509
Fe5 0.517 0.485 0.004
Fe6 0.505 0.007 0.005
Fe7 0.759 0.270 0.502
Fe8 0.724 0.712 0.509
O1 0.094 0.400 0.497
O2 0.073 0.877 0.507
O3 0.184 0.161 0.001
O4 0.164 0.649 0.008
O5 0.591 0.387 0.505
O6 0.643 0.631 0.008
O7 0.844 0.355 0.002
O8 0.912 0.626 0.512
F1 0.348 0.366 0.002
F2 0.342 0.853 0.007
F3 0.418 0.124 0.504
F4 0.408 0.600 0.507
F5 0.584 0.882 0.506
F6 0.667 0.147 0.004
F7 0.805 0.841 0.010
F8 0.903 0.111 0.505

Symmetry: P1, No. 1
Size of the total moment: 0.0 μB per cell
Crystal system: triclinic

=====

b.
MgFe8O8F8 | PBE with a Hubbard U | relaxed

Cell: 10.081 10.137 3.053 Å, 90.00 90.00 83.26°
Fractional positions:
Mg1 0.106 0.602 0.500
Fe1 0.035 0.023 0.000
Fe2 0.948 0.445 0.000
Fe3 0.224 0.249 0.500
Fe4 0.264 0.786 0.500
Fe5 0.538 0.515 0.000
Fe6 0.507 0.005 0.000
Fe7 0.734 0.254 0.500
Fe8 0.748 0.722 0.500
O1 0.081 0.402 0.500
O2 0.101 0.926 0.500
O3 0.144 0.163 0.000
O4 0.183 0.674 0.000
O5 0.591 0.398 0.500
O6 0.659 0.644 0.000
O7 0.825 0.322 0.000
O8 0.902 0.579 0.500
F1 0.317 0.337 0.000
F2 0.378 0.868 0.000
F3 0.399 0.114 0.500
F4 0.424 0.606 0.500
F5 0.617 0.898 0.500
F6 0.648 0.148 0.000
F7 0.836 0.813 0.000
F8 0.889 0.095 0.500

Symmetry: Pm, No. 6
Size of the total moment: 0.0 μB per cell
Crystal system: monoclinic

=====

c.
MgFe8O8F8 | PBE with a Hubbard U | relaxed

Cell: 5.170 5.090 11.847 Å, 91.67 92.20 85.48°
Fractional positions:
Mg1 0.518 0.988 0.139
Fe1 0.948 0.946 0.991
Fe2 0.056 0.074 0.268
Fe3 0.934 0.891 0.502
Fe4 0.093 0.059 0.748
Fe5 0.570 0.471 0.125
Fe6 0.465 0.527 0.626
Fe7 0.463 0.543 0.878
Fe8 0.444 0.519 0.376
O1 0.151 0.778 0.377
O2 0.179 0.807 0.627
O3 0.179 0.819 0.874
O4 0.373 0.285 0.245
O5 0.332 0.327 0.752
O6 0.665 0.724 0.003
O7 0.654 0.666 0.504
O8 0.846 0.164 0.121
F1 0.212 0.788 0.116
F2 0.357 0.284 0.994
F3 0.310 0.313 0.501
F4 0.645 0.731 0.260
F5 0.662 0.691 0.756
F6 0.803 0.186 0.399
F7 0.813 0.180 0.632
F8 0.831 0.213 0.872

Symmetry: P1, No. 1
Size of the total moment: 38.0 μB per cell
Crystal system: triclinic

=====

Of them, c has the lowest stability.

=====

a.
Li2Ni3SbO8 | PBE with a Hubbard U | relaxed

Cell: 5.872 10.471 5.861 Å, 106.13 120.08 90.02°
Fractional positions:
Li1 0.064 0.192 0.129
Li2 0.563 0.690 0.127
Li3 0.437 0.310 0.873
Li4 0.936 0.808 0.871
Ni1 0.500 0.000 0.500
Ni2 0.000 0.000 0.500
Ni3 0.000 0.500 0.000
Ni4 0.000 0.500 0.500
Ni5 0.500 0.500 0.500
Ni6 0.500 0.000 0.000
Sb1 0.250 0.750 0.500
Sb2 0.750 0.250 0.500
O1 0.135 0.407 0.271
O2 0.636 0.907 0.271
O3 0.364 0.093 0.729
O4 0.865 0.593 0.729
O5 0.341 0.622 0.721
O6 0.880 0.121 0.722
O7 0.900 0.622 0.240
O8 0.400 0.122 0.281
O9 0.382 0.622 0.282
O10 0.840 0.122 0.241
O11 0.160 0.878 0.759
O12 0.618 0.378 0.718
O13 0.600 0.878 0.719
O14 0.100 0.378 0.761
O15 0.120 0.879 0.278
O16 0.660 0.378 0.279

Symmetry: P-1, No. 2
Size of the total moment: 6.0 μB per cell
Crystal system: triclinic

=====

b.
Li2Ni3SbO8 | PBE with a Hubbard U | relaxed

Cell: 5.877 5.993 10.175 Å, 106.47 90.12 60.67°
Fractional positions:
Li1 0.306 0.386 0.564
Li2 0.806 0.387 0.065
Li3 0.193 0.613 0.935
Li4 0.694 0.614 0.436
Ni1 0.250 0.000 0.750
Ni2 0.750 0.000 0.250
Ni3 0.000 0.000 0.500
Ni4 0.750 0.000 0.750
Ni5 0.250 0.000 0.250
Ni6 0.500 0.000 0.000
Sb1 0.750 0.500 0.750
Sb2 0.250 0.500 0.250
O1 0.093 0.815 0.636
O2 0.592 0.815 0.136
O3 0.408 0.185 0.864
O4 0.907 0.185 0.364
O5 0.906 0.246 0.861
O6 0.406 0.246 0.361
O7 0.632 0.246 0.645
O8 0.133 0.246 0.145
O9 0.093 0.246 0.617
O10 0.593 0.246 0.117
O11 0.407 0.754 0.883
O12 0.907 0.754 0.383
O13 0.867 0.755 0.855
O14 0.368 0.754 0.355
O15 0.594 0.754 0.639
O16 0.094 0.754 0.139

Size of the total moment: 6.0 μB per cell

=====

Of them, a has the lowest stability.

=====

a.
Cs6Fe2O5 | PBE with a Hubbard U | relaxed

Cell: 7.321 14.941 7.321 Å, 92.66 117.83 92.66°
Fractional positions:
Cs1 0.644 0.406 0.644
Cs2 0.644 0.906 0.644
Cs3 0.356 0.094 0.356
Cs4 0.356 0.594 0.356
Cs5 0.242 0.250 0.758
Cs6 0.242 0.750 0.758
Cs7 0.758 0.250 0.242
Cs8 0.758 0.750 0.242
Cs9 0.787 0.500 0.213
Cs10 0.787 0.000 0.213
Cs11 0.213 0.000 0.787
Cs12 0.213 0.500 0.787
Fe1 0.804 0.657 0.804
Fe2 0.196 0.343 0.196
Fe3 0.804 0.157 0.804
Fe4 0.196 0.843 0.196
O1 0.000 0.250 0.000
O2 0.000 0.750 0.000
O3 0.168 0.388 0.429
O4 0.168 0.888 0.429
O5 0.571 0.112 0.832
O6 0.571 0.612 0.832
O7 0.832 0.112 0.571
O8 0.832 0.612 0.571
O9 0.429 0.388 0.168
O10 0.429 0.888 0.168

Size of the total moment: 0.0 μB per cell

=====

b.
Cs6Fe2O5 | PBE with a Hubbard U | relaxed

Cell: 7.320 7.320 7.483 Å, 87.10 87.10 117.67°
Fractional positions:
Cs1 0.992 0.992 0.366
Cs2 0.703 0.703 0.996
Cs3 0.596 0.109 0.684
Cs4 0.109 0.596 0.684
Cs5 0.566 0.140 0.181
Cs6 0.140 0.566 0.181
Fe1 0.162 0.162 0.878
Fe2 0.552 0.552 0.510
O1 0.389 0.389 0.730
O2 0.513 0.775 0.410
O3 0.775 0.513 0.410
O4 0.184 0.922 0.958
O5 0.922 0.184 0.958

Maximum piezoelectric response: 0.27 C/m²
Symmetry: Cm, No. 8
Crystal system: monoclinic

=====

Of them, b has the lowest stability.